Material: Mg14FeC
Method: DFT, GGA-PBE
State: optimized geometry

Output
Final energy, eV/cell: -34.66
Energy relative to the elements, eV/atom: 0.340
E above lowest polymorph, eV per atom: 0.116

Cell: 6.173 6.173 9.880 Å, 90.00 90.00 120.00°
Fractional positions:
Mg 0.001 0.500 0.000
Mg 0.998 0.499 0.500
Mg 0.500 0.999 0.000
Mg 0.501 0.002 0.500
Mg 0.500 0.500 0.000
Mg 0.501 0.499 0.500
Mg 0.159 0.841 0.251
Mg 0.159 0.841 0.749
Mg 0.159 0.318 0.251
Mg 0.159 0.318 0.749
Mg 0.682 0.841 0.251
Mg 0.682 0.841 0.749
Mg 0.667 0.333 0.249
Mg 0.667 0.333 0.751
Fe 0.000 0.000 0.000
C 0.000 0.000 0.500